Below is RbZr6MnCl14 after structural relaxation, with properties calculated at the PBE level.

a b c (Å): 9.8896 9.8896 12.0690
angles (deg): 90.00 90.00 83.99
Last column: nearest neighbours and their distance in Å.
Fractional positions:
Rb 0.0000 0.0000 0.0000  12 Cl 3.57-3.89
Rb 0.5000 0.5000 0.5000  12 Cl 3.57-3.89
Zr 0.0480 0.1909 0.6184  1 Mn 2.45, 5 Cl 2.57-2.70
Zr 0.1511 0.8489 0.6102  1 Mn 2.40, 4 Cl 2.58-2.59
Zr 0.1909 0.0480 0.3816  1 Mn 2.45, 5 Cl 2.57-2.70
Zr 0.3091 0.4520 0.8816  1 Mn 2.45, 5 Cl 2.57-2.70
Zr 0.3489 0.6511 0.1102  1 Mn 2.40, 4 Cl 2.58-2.59
Zr 0.4520 0.3091 0.1184  1 Mn 2.45, 5 Cl 2.57-2.70
Zr 0.5480 0.6909 0.8816  1 Mn 2.45, 5 Cl 2.57-2.70
Zr 0.6511 0.3489 0.8898  1 Mn 2.40, 4 Cl 2.58-2.59
Zr 0.6909 0.5480 0.1184  1 Mn 2.45, 5 Cl 2.57-2.70
Zr 0.8091 0.9520 0.6184  1 Mn 2.45, 5 Cl 2.57-2.70
Zr 0.8489 0.1511 0.3898  1 Mn 2.40, 4 Cl 2.58-2.59
Zr 0.9520 0.8091 0.3816  1 Mn 2.45, 5 Cl 2.57-2.70
Mn 0.0000 0.0000 0.5000  6 Zr 2.40-2.45
Mn 0.5000 0.5000 0.0000  6 Zr 2.40-2.45
Cl 0.0354 0.2104 0.2534  2 Zr 2.59-2.61
Cl 0.1003 0.3997 0.7500  2 Zr 2.70
Cl 0.1166 0.6364 0.4934  2 Zr 2.58-2.61
Cl 0.1364 0.6166 0.9934  2 Zr 2.58-2.61
Cl 0.1562 0.8438 0.2417  3 Zr 2.68-3.00
Cl 0.2104 0.0354 0.7466  2 Zr 2.59-2.61
Cl 0.2502 0.2502 0.0000  2 Zr 2.57
Cl 0.2498 0.2498 0.5000  2 Zr 2.57
Cl 0.2896 0.4646 0.2466  2 Zr 2.59-2.61
Cl 0.3438 0.6562 0.7417  3 Zr 2.68-3.00
Cl 0.3636 0.8834 0.4934  2 Zr 2.58-2.61
Cl 0.3834 0.8636 0.9934  2 Zr 2.58-2.61
Cl 0.3997 0.1003 0.2500  2 Zr 2.70
Cl 0.4646 0.2896 0.7534  2 Zr 2.59-2.61
Cl 0.5354 0.7104 0.2466  2 Zr 2.59-2.61
Cl 0.6003 0.8997 0.7500  2 Zr 2.70
Cl 0.6166 0.1364 0.0066  2 Zr 2.58-2.61
Cl 0.6364 0.1166 0.5066  2 Zr 2.58-2.61
Cl 0.6562 0.3438 0.2583  3 Zr 2.68-3.00
Cl 0.7104 0.5354 0.7534  2 Zr 2.59-2.61
Cl 0.7498 0.7498 0.0000  2 Zr 2.57
Cl 0.7502 0.7502 0.5000  2 Zr 2.57
Cl 0.7896 0.9646 0.2534  2 Zr 2.59-2.61
Cl 0.8438 0.1562 0.7583  3 Zr 2.68-3.00
Cl 0.8636 0.3834 0.0066  2 Zr 2.58-2.61
Cl 0.8834 0.3636 0.5066  2 Zr 2.58-2.61
Cl 0.8997 0.6003 0.2500  2 Zr 2.70
Cl 0.9646 0.7896 0.7466  2 Zr 2.59-2.61

Values from the calculation:
VASP energy in eV per cell: -247.78
Volume in A^3/atom: 26.7